Below is crystalline Na10Y4Ga4Si5S7O48 at its relaxed geometry, with properties calculated at the GGA-PBE level.

Summary:
energy of formation from the pure elements = -197.2 eV/f.u.
magnetization = 0.00 μB/f.u.

Lattice parameters (Å, degrees): 18.1471 9.1165 22.8786 89.57 89.15 120.09
Last column: nearest neighbours and their distance in Å.
Atoms (fractional coordinates):
O 0.3496 0.1442 0.0389  1 S 1.50
O 0.3416 0.5375 0.5301  1 S 1.48
O 0.6618 0.4694 0.7519  1 S 1.48
O 0.2421 0.1464 0.9169  1 S 1.49
O 0.2634 0.8772 0.3639  1 S 1.48
O 0.0703 0.4562 0.9744  1 Si 1.67
O 0.9881 0.1815 0.3034  1 Si 1.62
O 0.7641 0.8464 0.4707  1 S 1.49
O 0.0712 0.6777 0.4773  1 Si 1.63
O 0.4168 0.7721 0.3065  1 Si 1.63
O 0.8154 0.0833 0.1393  1 S 1.49
O 0.0971 0.2049 0.6949  1 S 1.48
O 0.4246 0.3458 0.9175  1 Si 1.62
O 0.2387 0.1542 0.2449  1 S 1.46
O 0.0892 0.5020 0.2563  1 Si 1.66
O 0.0978 0.9674 0.2031  1 S 1.49
O 0.8437 0.1692 0.7360  1 Si 1.64
O 0.0205 0.2403 0.1892  1 Si 1.64
O 0.0706 0.6577 0.0819  1 S 1.48
O 0.9098 0.7718 0.3051  1 Si 1.63
O 0.6589 0.4943 0.0787  1 Si 1.69
O 0.0895 0.0303 0.5859  1 Si 1.67
O 0.7677 0.6645 0.8653  1 S 1.48
O 0.4150 0.5218 0.7436  1 S 1.48
O 0.5676 0.6619 0.7480  1 S 1.49
O 0.4222 0.3217 0.5319  1 S 1.48
O 0.2577 0.8714 0.0879  1 S 1.47
O 0.2547 0.8562 0.7474  1 Si 1.63
O 0.7445 0.6856 0.2677  1 Si 1.67
O 0.3455 0.1943 0.7380  1 Si 1.68
O 0.3234 0.1356 0.4171  1 S 1.50
O 0.5571 0.6313 0.3556  1 Si 1.66
O 0.3300 0.1253 0.1448  1 S 1.47
O 0.4476 0.5253 0.1408  1 S 1.51
O 0.5662 0.4641 0.8533  1 Si 1.64
O 0.2391 0.3146 0.7371  1 S 1.48
O 0.7494 0.8437 0.0752  1 S 1.48
O 0.9126 0.9806 0.6865  1 Si 1.64
O 0.1158 0.0287 0.3069  1 S 1.50
O 0.5761 0.4728 0.9729  1 Si 1.66, 1 Ga 1.84
O 0.4067 0.8066 0.9120  1 S 1.48
O 0.2382 0.1702 0.5199  1 Si 1.67
O 0.5978 0.2113 0.7016  1 S 1.47
O 0.9728 0.7718 0.7961  1 Si 1.63
O 0.5843 0.9655 0.9209  1 S 1.49
O 0.4103 0.3114 0.2434  1 Si 1.68
O 0.9349 0.5480 0.0337  1 S 1.47
O 0.3328 0.5178 0.6376  1 S 1.47
O 0.6028 0.0243 0.3060  1 S 1.48
O 0.1600 0.4624 0.7479  1 S 1.48
O 0.7590 0.8697 0.3641  1 S 1.47
O 0.9090 0.0415 0.7999  1 Si 1.64
O 0.4751 0.1441 0.3043  1 Si 1.65
O 0.7646 0.6856 0.9720  1 S 1.48
O 0.0114 0.1722 0.9189  1 Si 1.64
O 0.7457 0.1677 0.5164  1 Si 1.64, 1 Ga 1.83
O 0.7415 0.3255 0.7414  1 S 1.47
O 0.9393 0.3551 0.6379  1 S 1.49
O 0.1737 0.4985 0.0911  1 Si 1.67
O 0.5110 0.8469 0.4060  1 Si 1.68
O 0.2700 0.6613 0.8629  1 S 1.47
O 0.0900 0.1650 0.0882  1 Si 1.65
O 0.3953 0.9965 0.6800  1 Si 1.62
O 0.8112 0.5083 0.9228  1 S 1.48
O 0.7139 0.3044 0.0234  1 Si 1.63
O 0.9117 0.7967 0.5839  1 S 1.51
O 0.6202 0.2049 0.8054  1 S 1.48
O 0.4146 0.0517 0.7948  1 Si 1.65
O 0.7654 0.8242 0.7425  1 Si 1.65
O 0.9066 0.5015 0.7308  1 Si 1.65
O 0.5164 0.1857 0.9188  1 Si 1.66
O 0.8936 0.9803 0.4188  1 S 1.51
O 0.5748 0.1505 0.0914  1 Si 1.66
O 0.2461 0.1399 0.6385  1 Si 1.65
O 0.6617 0.8553 0.9740  1 S 1.47
O 0.5056 0.7966 0.6953  1 S 1.47
O 0.0741 0.6598 0.7475  1 Si 1.64
O 0.6016 0.0316 0.5763  1 Si 1.65
O 0.1816 0.4691 0.3594  1 S 1.48
O 0.0646 0.6345 0.3596  1 Si 1.68
O 0.5200 0.2223 0.1911  1 Si 1.64
O 0.4865 0.1916 0.5824  1 S 1.49
O 0.8750 0.8160 0.1975  1 Si 1.63
O 0.9449 0.5411 0.1391  1 S 1.48
O 0.7264 0.1368 0.2463  1 S 1.49
O 0.2450 0.3361 0.1439  1 Si 1.66
O 0.0138 0.8312 0.4165  1 Si 1.64
O 0.6766 0.4671 0.3613  1 S 1.51
O 0.4441 0.3691 0.6367  1 S 1.49
O 0.9048 0.0010 0.0841  1 S 1.49
O 0.5801 0.7201 0.4695  1 Si 1.64, 1 Ga 1.81
O 0.5721 0.6558 0.0808  1 S 1.50
O 0.4048 0.9874 0.4089  1 S 1.47
O 0.4888 0.7728 0.8014  1 S 1.49
O 0.6581 0.4708 0.4683  1 S 1.49
O 0.7499 0.1491 0.6354  1 Si 1.63
O 0.9276 0.3154 0.5318  1 S 1.48
O 0.5865 0.9730 0.2003  1 S 1.48
O 0.4344 0.5583 0.0361  1 S 1.49
O 0.8979 0.8138 0.9206  1 S 1.47
O 0.2813 0.8711 0.4697  1 S 1.50
O 0.9175 0.3310 0.2470  1 Si 1.64
O 0.2595 0.6931 0.2617  1 Si 1.67
O 0.5670 0.4998 0.5726  1 S 1.49
O 0.6880 0.8654 0.5752  1 Si 1.68, 1 Ga 1.84
O 0.4120 0.0178 0.0933  1 S 1.48
O 0.7259 0.3488 0.1415  1 Si 1.62
O 0.8396 0.1314 0.0351  1 S 1.48
O 0.3410 0.5188 0.2403  1 Si 1.66
O 0.4938 0.8067 0.0951  1 S 1.45
O 0.1672 0.8737 0.9680  1 S 1.47
O 0.8220 0.5288 0.6373  1 S 1.49
O 0.8505 0.5435 0.5317  1 S 1.50
O 0.5913 0.2025 0.4164  1 S 1.49
O 0.0610 0.4533 0.8560  1 Si 1.64
O 0.2293 0.3316 0.0237  1 Si 1.64
O 0.9922 0.8077 0.0858  1 S 1.46
O 0.0980 0.1998 0.4138  1 S 1.49
O 0.1676 0.4604 0.4658  1 S 1.48
O 0.7360 0.1323 0.9234  1 S 1.48
O 0.0192 0.8180 0.6819  1 Si 1.66
O 0.3179 0.5010 0.9153  1 S 1.48
O 0.4208 0.4955 0.4276  1 Si 1.66
O 0.0896 0.9821 0.9162  1 S 1.47
O 0.1796 0.8677 0.5786  1 Si 1.67
O 0.8196 0.4988 0.2481  1 Si 1.64
O 0.4002 0.8465 0.1950  1 Si 1.64
O 0.9861 0.1748 0.5869  1 S 1.46
O 0.9188 0.4804 0.4263  1 Si 1.66, 1 Ga 1.86
O 0.1180 0.1940 0.7996  1 S 1.48
O 0.2577 0.6310 0.5864  1 S 1.50
O 0.7444 0.3588 0.4214  1 S 1.50
O 0.2514 0.3548 0.4160  1 S 1.49
O 0.1657 0.8515 0.2595  1 S 1.48
O 0.0639 0.4818 0.5816  1 S 1.51
O 0.7559 0.6405 0.5743  1 S 1.47
O 0.1756 0.8937 0.8613  1 S 1.49
O 0.6745 0.8857 0.8670  1 S 1.49
O 0.2795 0.6837 0.9685  1 S 1.47
O 0.8104 0.1211 0.4193  1 S 1.48
O 0.4104 0.7893 0.5853  1 S 1.48
O 0.9179 0.3345 0.9184  1 Si 1.63
O 0.5779 0.4731 0.2602  1 Si 1.65
O 0.6450 0.8352 0.2561  1 S 1.48
Na 0.1642 0.0180 0.4275  5 O 2.40-2.66
Na 0.9931 0.3564 0.7556  6 O 2.40-2.68
Na 0.8224 0.9941 0.2562  5 O 2.44-2.70
Na 0.3305 0.9807 0.5946  3 O 2.26-2.51
Na 0.9913 0.9937 0.5062  5 O 2.40-2.68
Na 0.6613 0.2991 0.9315  4 O 2.31-2.50
Na 0.1787 0.6591 0.1711  4 O 2.33-2.55
Na 0.5122 0.3322 0.0887  5 O 2.31-2.59
Na 0.8511 0.3186 0.8287  3 O 2.37-2.65
Na 0.5047 0.0010 0.0085  5 O 2.33-2.60
Na 0.8290 0.6504 0.7386  6 O 2.38-2.64
Na 0.8472 0.3639 0.3411  3 O 2.31-2.58
Na 0.6772 0.6593 0.1652  3 O 2.42-2.62
Na 0.0232 0.3274 0.0845  3 O 2.34-2.51
Na 0.6628 0.0372 0.4234  5 O 2.39-2.56
Na 0.5140 0.9970 0.4917  3 O 2.39-2.44
Na 0.4968 0.3514 0.7585  6 O 2.43-2.66
Na 0.4973 0.6249 0.2594  6 O 2.39-2.65
Na 0.0051 0.0104 0.0017  5 O 2.36-2.58
Na 0.1754 0.9938 0.7366  3 O 2.35-2.57
Na 0.1717 0.6776 0.6708  4 O 2.38-2.63
Na 0.1603 0.3037 0.9309  5 O 2.36-2.57
Na 0.6870 0.7218 0.6552  2 O 2.24-2.38
Na 0.3486 0.3321 0.8351  4 O 2.32-2.58
Na 0.0188 0.7108 0.5865  5 O 2.40-2.60
Na 0.9936 0.6342 0.2647  4 O 2.43-2.57
Na 0.6721 0.3608 0.2454  3 O 2.32-2.58
Na 0.3525 0.3663 0.3387  4 O 2.39-2.59
Na 0.1859 0.3783 0.2401  5 O 2.44-2.66
Na 0.3233 0.0004 0.2497  7 O 2.45-2.72
Y 0.8257 0.3337 0.1831  5 O 2.12-2.28
Y 0.8319 0.3318 0.9847  6 O 2.15-2.31
Y 0.6700 0.6867 0.8120  6 O 2.16-2.36
Y 0.4949 0.0104 0.8495  4 O 2.11-2.28
Y 0.9897 0.9862 0.3544  4 O 2.11-2.25
Y 0.5106 0.0072 0.6420  6 O 2.14-2.37
Y 0.1633 0.6664 0.8126  6 O 2.12-2.36
Y 0.9905 0.9891 0.8475  4 O 2.09-2.32
Y 0.3389 0.3370 0.9854  6 O 2.14-2.37
Y 0.1699 0.6567 0.0208  5 O 2.12-2.33
Y 0.9959 0.9992 0.1558  6 O 2.16-2.36
Y 0.1674 0.6649 0.5196  5 O 2.06-2.26
Si 0.8567 0.0040 0.7389  4 O 1.64-1.65
Si 0.9923 0.6884 0.7395  4 O 1.63-1.66
Si 0.6705 0.3225 0.0835  4 O 1.62-1.69
Si 0.0026 0.3121 0.2501  4 O 1.62-1.66
Si 0.0120 0.3529 0.9170  4 O 1.63-1.67
Si 0.6985 0.0596 0.5765  4 O 1.63-1.68
Si 0.3513 0.0161 0.7394  4 O 1.62-1.68
Si 0.0149 0.6523 0.4194  4 O 1.63-1.68
Si 0.1876 0.0585 0.5805  4 O 1.65-1.67
Si 0.3550 0.7115 0.2499  4 O 1.63-1.67
Si 0.1868 0.3306 0.0875  4 O 1.64-1.67
Si 0.5150 0.6680 0.4144  4 O 1.64-1.68
Si 0.8368 0.6919 0.2552  4 O 1.63-1.67
Si 0.4944 0.2836 0.2516  4 O 1.64-1.68
Si 0.5197 0.3708 0.9153  4 O 1.62-1.66
Ga 0.8391 0.3535 0.4846  3 O 1.83-1.97
Ga 0.3313 0.3210 0.6784  4 O 1.86-2.08
Ga 0.6488 0.6212 0.3197  4 O 1.89-1.96
Ga 0.0046 0.9916 0.6474  3 O 1.84-1.97
Ga 0.4996 0.0194 0.1563  4 O 1.88-2.10
Ga 0.6591 0.6372 0.0183  3 O 1.84-2.02
Ga 0.6584 0.7130 0.5154  3 O 1.81-1.95
Ga 0.3380 0.3488 0.4831  4 O 1.89-2.02
Ga 0.8317 0.3113 0.6818  4 O 1.84-2.03
Ga 0.4842 0.9691 0.3461  3 O 1.84-1.97
Ga 0.3380 0.3568 0.1868  4 O 1.89-2.07
Ga 0.1589 0.6431 0.3169  4 O 1.90-2.07
S 0.6636 0.9562 0.9227  4 O 1.47-1.49
S 0.9764 0.3249 0.5840  4 O 1.46-1.51
S 0.6555 0.3013 0.7496  4 O 1.47-1.48
S 0.3357 0.0377 0.0927  4 O 1.47-1.50
S 0.1552 0.0013 0.2533  4 O 1.46-1.50
S 0.6666 0.3760 0.4186  4 O 1.49-1.51
S 0.1745 0.3731 0.4135  4 O 1.48-1.49
S 0.4932 0.6889 0.7470  4 O 1.47-1.49
S 0.3182 0.6633 0.9143  4 O 1.47-1.48
S 0.6378 0.9896 0.2521  4 O 1.48-1.49
S 0.8320 0.6255 0.5822  4 O 1.47-1.51
S 0.8103 0.6692 0.9205  4 O 1.47-1.48
S 0.3357 0.6148 0.5852  4 O 1.47-1.50
S 0.4807 0.3489 0.5804  4 O 1.48-1.49
S 0.1530 0.2934 0.7444  4 O 1.48
S 0.8046 0.9534 0.4175  4 O 1.47-1.51
S 0.1680 0.9712 0.9162  4 O 1.47-1.49
S 0.8255 0.0115 0.0836  4 O 1.48-1.49
S 0.4867 0.6416 0.0884  4 O 1.45-1.51
S 0.9849 0.6403 0.0846  4 O 1.46-1.48
S 0.3192 0.9679 0.4134  4 O 1.47-1.50